No. 1
This record from the Materials Project describes an optimized crystal structure of La2Tl3Pb3. The functional is GGA-PBE.

Crystal system = orthorhombic
Final energy = -3.915 eV/atom

```
data_La2Tl3Pb3
_symmetry_space_group_name_H-M 'P 1'
_symmetry_Int_Tables_number 1
_symmetry_space_group_name_Hall 'P 1'
_cell_length_a 4.962
_cell_length_b 4.965
_cell_length_c 9.765
_cell_angle_alpha 90.00
_cell_angle_beta 90.00
_cell_angle_gamma 90.00
loop_
_atom_site_label
_atom_site_fract_x
_atom_site_fract_y
_atom_site_fract_z
_atom_site_occupancy
La1 0.000 0.000 0.246 1
La2 0.000 0.000 0.754 1
Tl1 0.000 0.500 0.000 1
Tl2 0.000 0.500 0.500 1
Tl3 0.500 0.000 0.500 1
Pb1 0.500 0.000 0.000 1
Pb2 0.500 0.500 0.248 1
Pb3 0.500 0.500 0.752 1
```



No. 2
This record from the Materials Project describes an optimized crystal structure of La10ZnPb5. The functional is GGA-PBE.

M_tot = 2.8 μB per formula unit
Crystal system = tetragonal
Final energy = -4.817 eV/atom

```
data_La10ZnPb5
_symmetry_space_group_name_H-M 'P 1'
_symmetry_Int_Tables_number 1
_symmetry_space_group_name_Hall 'P 1'
_cell_length_a 9.664
_cell_length_b 9.664
_cell_length_c 9.664
_cell_angle_alpha 96.35
_cell_angle_beta 96.35
_cell_angle_gamma 141.16
loop_
_atom_site_label
_atom_site_fract_x
_atom_site_fract_y
_atom_site_fract_z
_atom_site_occupancy
La1 0.000 0.500 0.500 1
La2 0.029 0.162 0.702 1
La3 0.162 0.460 0.134 1
La4 0.326 0.029 0.866 1
La5 0.460 0.326 0.298 1
La6 0.500 0.000 0.500 1
La7 0.540 0.838 0.866 1
La8 0.674 0.540 0.702 1
La9 0.838 0.971 0.298 1
La10 0.971 0.674 0.134 1
Zn1 0.000 0.000 0.000 1
Pb1 0.088 0.912 0.500 1
Pb2 0.412 0.588 0.500 1
Pb3 0.500 0.500 0.000 1
Pb4 0.588 0.088 0.176 1
Pb5 0.912 0.412 0.824 1
```



No. 3
This record from the Materials Project describes an optimized crystal structure of La2Zn5Pb. The functional is GGA-PBE.

M_tot = 0.0 μB per formula unit
Crystal system = orthorhombic
Final energy = -2.895 eV/atom

```
data_La2Zn5Pb
_symmetry_space_group_name_H-M 'P 1'
_symmetry_Int_Tables_number 1
_symmetry_space_group_name_Hall 'P 1'
_cell_length_a 8.802
_cell_length_b 8.802
_cell_length_c 9.254
_cell_angle_alpha 90.00
_cell_angle_beta 90.00
_cell_angle_gamma 149.77
loop_
_atom_site_label
_atom_site_fract_x
_atom_site_fract_y
_atom_site_fract_z
_atom_site_occupancy
La1 0.000 0.000 0.000 1
La2 0.000 0.000 0.500 1
La3 0.208 0.792 0.750 1
La4 0.792 0.208 0.250 1
Zn1 0.186 0.814 0.107 1
Zn2 0.186 0.814 0.393 1
Zn3 0.342 0.658 0.012 1
Zn4 0.342 0.658 0.488 1
Zn5 0.394 0.606 0.750 1
Zn6 0.606 0.394 0.250 1
Zn7 0.658 0.342 0.512 1
Zn8 0.658 0.342 0.988 1
Zn9 0.814 0.186 0.607 1
Zn10 0.814 0.186 0.893 1
Pb1 0.444 0.556 0.250 1
Pb2 0.556 0.444 0.750 1
```



No. 4
This record from the Materials Project describes an optimized crystal structure of LaPd. The functional is GGA-PBE.

Crystal system = orthorhombic
Final energy = -5.890 eV/atom

```
data_LaPd
_symmetry_space_group_name_H-M 'P 1'
_symmetry_Int_Tables_number 1
_symmetry_space_group_name_Hall 'P 1'
_cell_length_a 5.908
_cell_length_b 5.908
_cell_length_c 4.694
_cell_angle_alpha 90.00
_cell_angle_beta 90.00
_cell_angle_gamma 140.70
loop_
_atom_site_label
_atom_site_fract_x
_atom_site_fract_y
_atom_site_fract_z
_atom_site_occupancy
La1 0.136 0.864 0.750 1
La2 0.864 0.136 0.250 1
Pd1 0.413 0.587 0.750 1
Pd2 0.587 0.413 0.250 1
```



The highest final energy belongs to which entry? La2Zn5Pb